Yb2ZnGe | meta-GGA r2SCAN | optimized geometry

Structure (extended XYZ):
```
4
Lattice="0.0000 3.4624 3.4624 3.4624 0.0000 3.4624 3.4624 3.4624 0.0000" Properties=species:S:1:pos:R:3 pbc="T T T"
Yb 5.1936 5.1936 5.1936
Yb 1.7312 1.7312 1.7312
Zn 3.4624 3.4624 3.4624
Ge 0.0000 0.0000 0.0000
```

- Space-group type: No. 225



Zn3Ge | meta-GGA r2SCAN | optimized geometry

Structure (extended XYZ):
```
4
Lattice="-1.9732 1.9732 3.9857 1.9732 -1.9732 3.9857 1.9732 1.9732 -3.9857" Properties=species:S:1:pos:R:3 pbc="T T T"
Zn 0.0000 1.9732 1.9929
Zn 1.9732 0.0000 1.9929
Zn 0.0000 0.0000 3.9857
Ge 0.0000 0.0000 0.0000
```

- Space-group type: No. 139



ZrGe | meta-GGA r2SCAN | optimized geometry

Structure (extended XYZ):
```
8
Lattice="0.0000 -3.9151 0.0000 -7.0961 0.0000 0.0000 0.0000 0.0000 -5.4128" Properties=species:S:1:pos:R:3 pbc="T T T"
Zr -5.8466 -2.9363 -1.9979
Zr -1.2495 -0.9788 -3.4148
Zr -4.7976 -0.9788 -4.7043
Zr -2.2986 -2.9363 -0.7085
Ge -6.7533 -2.9363 -4.5890
Ge -0.3429 -0.9788 -0.8238
Ge -3.8909 -0.9788 -1.8826
Ge -3.2052 -2.9363 -3.5302
```

- Space-group type: No. 62



Zr5Ge4 | meta-GGA r2SCAN | optimized geometry

Structure (extended XYZ):
```
36
Lattice="7.2538 0.0000 0.0000 0.0000 7.2538 0.0000 0.0000 0.0000 13.2120" Properties=species:S:1:pos:R:3 pbc="T T T"
Zr 6.0112 1.2425 9.9090
Zr 1.2425 6.0112 3.3030
Zr 4.8694 4.8694 6.6060
Zr 2.3844 2.3844 0.0000
Zr 7.2507 2.4991 7.0164
Zr 0.0031 4.7547 0.4104
Zr 6.1260 3.6300 3.7134
Zr 1.1278 3.6238 10.3195
Zr 4.7547 0.0031 12.8016
Zr 2.4991 7.2507 6.1956
Zr 3.6300 6.1260 9.4986
Zr 3.6238 1.1278 2.8926
Zr 3.6396 2.5139 8.2367
Zr 3.6142 4.7399 1.6307
Zr 6.1408 7.2411 4.9337
Zr 1.1130 0.0127 11.5397
Zr 4.7399 3.6142 11.5813
Zr 2.5139 3.6396 4.9753
Zr 7.2411 6.1408 8.2783
Zr 0.0127 1.1130 1.6723
Ge 4.6495 2.1687 5.5805
Ge 2.6042 5.0851 12.1865
Ge 5.7956 6.2311 2.2775
Ge 1.4582 1.0227 8.8835
Ge 5.0851 2.6042 1.0255
Ge 2.1687 4.6495 7.6316
Ge 6.2311 5.7956 10.9346
Ge 1.0227 1.4582 4.3285
Ge 5.0572 0.2836 7.4809
Ge 2.1966 6.9702 0.8749
Ge 3.9105 5.8235 4.1779
Ge 3.3433 1.4303 10.7839
Ge 6.9702 2.1966 12.3371
Ge 0.2836 5.0572 5.7311
Ge 5.8235 3.9105 9.0341
Ge 1.4303 3.3433 2.4281
```

- Space-group type: No. 92



HoH2 | meta-GGA r2SCAN | optimized geometry

Structure (extended XYZ):
```
3
Lattice="-1.4449 -1.8978 2.7416 1.8140 -2.8113 1.4184 1.4243 0.2523 3.3337" Properties=species:S:1:pos:R:3 pbc="T T T"
Ho 0.0000 0.0000 0.0000
H 1.3450 -3.3427 5.6203
H 0.4483 -1.1142 1.8734
```

- Space-group type: No. 225



HoHO2 | meta-GGA r2SCAN | optimized geometry

Structure (extended XYZ):
```
16
Lattice="-2.7524 0.6663 -2.0410 -3.0580 -1.8773 3.5110 -0.9156 9.7579 4.4200" Properties=species:S:1:pos:R:3 pbc="T T T"
Ho -1.7841 8.3197 3.6292
Ho -2.2294 2.8863 2.4561
Ho -4.4966 5.6605 3.4339
Ho -4.9419 0.2271 2.2608
H -1.6633 5.7482 2.6268
H -1.8808 0.4547 1.1922
H -4.8452 8.0922 4.6978
H -5.0627 2.7986 3.2632
O -1.2832 0.5037 0.4024
O -2.8114 3.2485 0.3740
O -3.8732 7.7566 3.2775
O -2.2044 5.0982 3.1444
O -4.5216 3.4487 2.7456
O -2.8528 0.7902 2.6125
O -3.9146 5.2983 5.5160
O -5.4427 8.0431 5.4876
```

- Space-group type: No. 62



HoHO2 | meta-GGA r2SCAN | optimized geometry

Structure (extended XYZ):
```
8
Lattice="-4.6078 -3.5847 0.9835 1.9861 -2.8317 -1.0151 2.3060 0.3338 3.5814" Properties=species:S:1:pos:R:3 pbc="T T T"
Ho 1.3924 -2.6867 0.6154
Ho -1.6959 -3.3888 2.9307
H 1.1029 -3.8747 3.3301
H -1.3976 -2.2157 0.2120
O 3.0303 -2.0440 2.0290
O -3.3341 -4.0304 1.5172
O 0.6421 -3.8807 2.4820
O -0.9470 -2.1927 1.0648
```

- Space-group type: No. 4



HI | meta-GGA r2SCAN | optimized geometry

Structure (extended XYZ):
```
16
Lattice="-4.4076 5.9587 4.0594 4.7322 -5.9558 5.1085 4.3965 5.9476 -4.0551" Properties=species:S:1:pos:R:3 pbc="T T T"
H 1.4588 4.7675 -1.2445
H 3.0870 4.7689 1.7770
H 3.2625 1.1793 6.3598
H 1.6365 1.1795 3.3362
H 0.8649 7.8633 -0.7997
H -0.7097 1.9163 5.3825
H -0.8763 4.0446 0.8059
H 5.4336 4.0375 -0.2710
I 2.3420 5.8983 -2.0304
I 2.2002 5.8989 2.5603
I 2.3809 0.0473 7.1456
I 2.5213 0.0462 2.5568
I 0.0263 9.0330 -0.0227
I 0.1383 3.0850 4.6159
I 4.6915 -3.0776 5.1290
I 4.5792 2.8716 0.4937
```

- Space-group type: No. 1



PH4I | meta-GGA r2SCAN | optimized geometry

Structure (extended XYZ):
```
12
Lattice="-2.5760 -1.1195 3.7094 4.7853 -3.5262 2.2588 2.2678 5.0656 3.1036" Properties=species:S:1:pos:R:3 pbc="T T T"
P 2.8971 2.9177 2.8924
P 4.1559 -1.3783 2.4700
H 3.2979 2.0896 3.9511
H 4.1066 -0.6703 3.6798
H 3.2957 -2.4815 2.5700
H 1.5869 3.3504 3.1435
H 2.8902 -2.9306 5.9285
H 1.1792 -1.6697 5.1208
H 1.1814 2.9014 6.5019
H 0.3705 1.0901 5.3921
I 0.7515 -0.0549 2.7976
I 3.7256 0.4747 6.2743
```

- Space-group type: No. 129



SiH3I | meta-GGA r2SCAN | optimized geometry

Structure (extended XYZ):
```
20
Lattice="4.6166 0.0000 -1.0085 0.0000 8.5754 0.0000 -0.0849 0.0000 10.6412" Properties=species:S:1:pos:R:3 pbc="T T T"
Si 3.3537 7.9482 2.3564
Si 3.5288 3.6605 1.4515
Si 1.1780 0.6272 7.2763
Si 1.0030 4.9150 8.1812
H 3.9451 7.1855 1.2403
H 2.9374 2.8978 2.5676
H 0.5867 1.3899 8.3924
H 1.5943 5.6776 7.0651
H 4.3386 0.2634 2.9975
H 2.5439 4.5511 0.8104
H 0.1931 8.3120 6.6352
H 1.9879 4.0243 8.8224
H 4.4014 4.1916 6.7642
H 2.3962 8.4794 7.6849
H 0.1303 4.3838 2.8685
H 2.1356 0.0961 1.9478
I 2.6513 6.2970 4.0565
I 4.2311 2.0093 -0.2486
I 1.8804 2.2784 5.5762
I 0.3006 6.5661 9.8813
```

- Space-group type: No. 14



SrHI | meta-GGA r2SCAN | optimized geometry

Structure (extended XYZ):
```
6
Lattice="-0.8328 -3.0180 -2.9323 4.2042 -0.7222 -0.4507 -0.3746 -6.2811 6.5710" Properties=species:S:1:pos:R:3 pbc="T T T"
Sr 2.0479 -1.2699 0.7254
Sr -0.7367 -6.8813 4.1541
H 1.6857 -1.8701 -1.6915
H 0.0000 0.0000 0.0000
I 1.8456 -4.6622 4.2743
I -0.5344 -3.4890 0.6052
```

- Space-group type: No. 129



InHO2 | meta-GGA r2SCAN | optimized geometry

Structure (extended XYZ):
```
8
Lattice="3.2985 0.0000 0.0000 0.0000 4.5905 0.0000 0.0000 0.0000 5.3021" Properties=species:S:1:pos:R:3 pbc="T T T"
In 0.0000 3.3416 0.0019
In 1.6492 1.2489 2.6529
H 0.0000 3.6775 2.5403
H 1.6492 0.9131 5.1913
O 0.0000 2.4000 3.3855
O 1.6492 2.1905 0.7344
O 0.0000 4.5060 1.9301
O 1.6492 0.0846 4.5812
```

- Space-group type: No. 31



Number 1: mass density 9684 kg/m³, E_form -0.5480 eV per atom. Number 2: mass density 7192 kg/m³, E_form 0.1870 eV per atom. Number 3: mass density 7238 kg/m³, E_form -0.8804 eV per atom. Number 4: mass density 7134 kg/m³, E_form -0.9281 eV per atom. Number 5: mass density 8169 kg/m³, E_form -0.7997 eV per atom. Number 6: mass density 6978 kg/m³, E_form -2.8831 eV per atom. Number 7: mass density 7632 kg/m³, E_form -2.9127 eV per atom. Number 8: mass density 3425 kg/m³, E_form -0.0070 eV per atom. Number 9: mass density 2858 kg/m³, E_form -0.1450 eV per atom. Number 10: mass density 2496 kg/m³, E_form -0.1345 eV per atom. Number 11: mass density 4276 kg/m³, E_form -1.3532 eV per atom. Number 12: mass density 6115 kg/m³, E_form -1.5830 eV per atom.